1.
## TbAl4Fe8 (PBE-GGA)

Data for a relaxed structure of TbAl4Fe8.

Unit cell a=4.949 b=6.507 c=6.507 alpha=81.68 beta=67.65 gamma=67.65
Sites, in units of the cell vectors:
Fe  0.733  0.767  0.767
Fe  0.500  0.767  0.233
Fe  0.000  0.500  0.000
Fe  0.000  0.000  0.500
Fe  0.267  0.233  0.233
Fe  0.500  0.500  0.000
Fe  0.500  0.233  0.767
Fe  0.500  0.000  0.500
Al  0.000  0.345  0.655
Al  0.655  0.345  0.345
Al  0.000  0.655  0.345
Al  0.345  0.655  0.655
Tb  0.000  0.000  0.000

Summary:
Space group: I4/mmm
Crystal system: tetragonal
Formation energy: -2.93 eV per formula unit
Spin magnetization: 15.249 μB/cell
Volume: 13.79 A^3/atom
ρ: 6.6 Mg/m³
Energy: -0.255 Ha/atom

2.
## TbAlFe (PBE-GGA)

Data for a relaxed structure of TbAlFe.

Unit cell a=5.340 b=5.420 c=8.756 alpha=90.00 beta=90.00 gamma=120.50
Sites, in units of the cell vectors:
Al  0.173  0.834  0.750
Al  0.990  0.995  0.486
Al  0.990  0.995  0.014
Al  0.173  0.339  0.750
Tb  0.338  0.669  0.074
Tb  0.668  0.334  0.554
Tb  0.338  0.669  0.426
Tb  0.668  0.334  0.946
Fe  0.826  0.178  0.250
Fe  0.345  0.173  0.250
Fe  0.826  0.648  0.250
Fe  0.666  0.833  0.750

Summary:
Space group: Amm2
Crystal system: orthorhombic
Formation energy: -0.84 eV per formula unit
Spin magnetization: 6.573 μB/cell
Volume: 18.19 A^3/atom
ρ: 7.4 Mg/m³
Energy: -0.217 Ha/atom

3.
## TbAl8Fe4 (PBE-GGA)

Data for a relaxed structure of TbAl8Fe4.

Unit cell a=6.650 b=6.650 c=6.650 alpha=98.20 beta=98.20 gamma=135.61
Sites, in units of the cell vectors:
Fe  0.500  0.500  0.500
Fe  0.000  0.500  0.000
Fe  0.000  0.000  0.500
Fe  0.500  0.000  0.000
Al  0.500  0.721  0.221
Al  0.341  0.000  0.341
Al  0.721  0.500  0.221
Al  0.500  0.279  0.779
Al  0.279  0.500  0.779
Al  0.000  0.341  0.341
Al  0.659  0.000  0.659
Al  0.000  0.659  0.659
Tb  0.000  0.000  0.000

Summary:
Space group: I4/mmm
Crystal system: tetragonal
Formation energy: -5.59 eV per formula unit
Volume: 14.65 A^3/atom
ρ: 5.2 Mg/m³
Energy: -0.209 Ha/atom

4.
## TbAlFe (PBE-GGA)

Data for a relaxed structure of TbAlFe.

Unit cell a=5.436 b=5.420 c=8.592 alpha=90.00 beta=90.00 gamma=119.90
Sites, in units of the cell vectors:
Tb  0.666  0.333  0.936
Tb  0.326  0.663  0.051
Tb  0.666  0.333  0.564
Tb  0.326  0.663  0.449
Al  0.675  0.837  0.750
Al  0.327  0.164  0.250
Al  0.837  0.675  0.250
Al  0.837  0.162  0.250
Fe  0.157  0.833  0.750
Fe  0.013  0.006  0.512
Fe  0.157  0.323  0.750
Fe  0.013  0.006  0.988

Summary:
Space group: Amm2
Crystal system: orthorhombic
Formation energy: -0.83 eV per formula unit
Spin magnetization: 6.408 μB/cell
Volume: 18.29 A^3/atom
ρ: 7.3 Mg/m³
Energy: -0.217 Ha/atom

5.
## ThAl2Fe3 (PBE-GGA)

Data for a relaxed structure of ThAl2Fe3.

Unit cell a=5.104 b=5.104 c=4.123 alpha=90.00 beta=90.00 gamma=116.93
Sites, in units of the cell vectors:
Al  0.500  0.000  0.500
Al  0.000  0.500  0.500
Fe  0.000  0.000  0.500
Fe  0.160  0.840  0.000
Fe  0.840  0.160  0.000
Th  0.500  0.500  0.000

Summary:
Space group: Cmmm
Crystal system: orthorhombic
Formation energy: -1.79 eV per formula unit
Volume: 15.96 A^3/atom
ρ: 7.9 Mg/m³
Energy: -0.258 Ha/atom

6.
## Ti6Al16Fe7 (PBE-GGA)

Data for a relaxed structure of Ti6Al16Fe7.

Unit cell a=8.379 b=8.379 c=8.379 alpha=60.00 beta=60.00 gamma=60.00
Sites, in units of the cell vectors:
Al  0.359  0.880  0.880
Al  0.880  0.880  0.880
Al  0.880  0.880  0.359
Al  0.120  0.120  0.641
Al  0.880  0.359  0.880
Al  0.342  0.974  0.342
Al  0.342  0.342  0.342
Al  0.120  0.120  0.120
Al  0.974  0.342  0.342
Al  0.120  0.641  0.120
Al  0.342  0.342  0.974
Al  0.641  0.120  0.120
Al  0.658  0.658  0.026
Al  0.658  0.658  0.658
Al  0.026  0.658  0.658
Al  0.658  0.026  0.658
Ti  0.708  0.292  0.292
Ti  0.292  0.708  0.708
Ti  0.292  0.292  0.708
Ti  0.708  0.292  0.708
Ti  0.708  0.708  0.292
Ti  0.292  0.708  0.292
Fe  0.500  0.500  0.000
Fe  0.500  0.000  0.000
Fe  0.000  0.000  0.500
Fe  0.500  0.000  0.500
Fe  0.000  0.000  0.000
Fe  0.000  0.500  0.500
Fe  0.000  0.500  0.000

Summary:
Space group: Fm-3m
Crystal system: cubic
Formation energy: -10.91 eV per formula unit
Spin magnetization: 5.949 μB/cell
Volume: 14.34 A^3/atom
ρ: 4.4 Mg/m³
Energy: -0.225 Ha/atom

7.
## TiAlFe (PBE-GGA)

Data for a relaxed structure of TiAlFe.

Unit cell a=4.898 b=4.965 c=8.002 alpha=90.00 beta=90.00 gamma=120.46
Sites, in units of the cell vectors:
Ti  0.671  0.337  0.952
Ti  0.342  0.672  0.425
Ti  0.342  0.672  0.075
Ti  0.671  0.337  0.548
Fe  0.820  0.174  0.250
Fe  0.818  0.646  0.250
Fe  0.669  0.833  0.750
Fe  0.337  0.169  0.250
Al  0.182  0.835  0.750
Al  0.179  0.345  0.750
Al  0.983  0.991  0.490
Al  0.983  0.991  0.010

Summary:
Space group: Pm
Crystal system: monoclinic
Formation energy: -1.10 eV per formula unit
Spin magnetization: 4.061 μB/cell
Volume: 13.98 A^3/atom
ρ: 5.2 Mg/m³
Energy: -0.260 Ha/atom

8.
## TmAlFe (PBE-GGA)

Data for a relaxed structure of TmAlFe.

Unit cell a=5.267 b=5.345 c=8.607 alpha=90.00 beta=90.00 gamma=120.50
Sites, in units of the cell vectors:
Al  0.175  0.340  0.750
Al  0.989  0.995  0.485
Al  0.175  0.835  0.750
Al  0.989  0.995  0.015
Fe  0.667  0.833  0.750
Fe  0.824  0.645  0.250
Fe  0.347  0.173  0.250
Fe  0.824  0.180  0.250
Tm  0.667  0.333  0.554
Tm  0.338  0.669  0.074
Tm  0.667  0.333  0.946
Tm  0.338  0.669  0.426

Summary:
Space group: Amm2
Crystal system: orthorhombic
Formation energy: -1.00 eV per formula unit
Volume: 17.40 A^3/atom
ρ: 8.0 Mg/m³
Energy: -0.217 Ha/atom

9.
## TmAl6Fe6 (PBE-GGA)

Data for a relaxed structure of TmAl6Fe6.

Unit cell a=6.554 b=6.554 c=6.554 alpha=135.20 beta=99.21 gamma=97.49
Sites, in units of the cell vectors:
Al  0.189  0.689  0.500
Al  0.811  0.311  0.500
Al  0.664  0.000  0.664
Al  0.336  0.000  0.336
Al  0.346  0.346  0.000
Al  0.654  0.654  0.000
Fe  0.241  0.500  0.741
Fe  0.000  0.500  0.000
Fe  0.500  0.000  0.000
Fe  0.000  0.000  0.500
Fe  0.759  0.500  0.259
Fe  0.500  0.500  0.500
Tm  0.000  0.000  0.000

Summary:
Space group: Immm
Crystal system: orthorhombic
Formation energy: -5.12 eV per formula unit
Volume: 14.11 A^3/atom
ρ: 6.0 Mg/m³
Energy: -0.234 Ha/atom

10.
## TmAlFe (PBE-GGA)

Data for a relaxed structure of TmAlFe.

Unit cell a=5.345 b=5.328 c=8.509 alpha=90.00 beta=90.00 gamma=119.89
Sites, in units of the cell vectors:
Al  0.671  0.835  0.750
Al  0.836  0.163  0.250
Al  0.836  0.672  0.250
Al  0.329  0.164  0.250
Tm  0.667  0.333  0.935
Tm  0.327  0.664  0.448
Tm  0.667  0.333  0.565
Tm  0.327  0.664  0.052
Fe  0.012  0.006  0.511
Fe  0.159  0.831  0.750
Fe  0.012  0.006  0.989
Fe  0.159  0.328  0.750

Summary:
Space group: Amm2
Crystal system: orthorhombic
Formation energy: -0.97 eV per formula unit
Spin magnetization: 6.239 μB/cell
Volume: 17.50 A^3/atom
ρ: 8.0 Mg/m³
Energy: -0.216 Ha/atom

11.
## TmAl7Fe5 (PBE-GGA)

Data for a relaxed structure of TmAl7Fe5.

Unit cell a=6.593 b=6.593 c=6.593 alpha=135.26 beta=98.47 gamma=98.19
Sites, in units of the cell vectors:
Fe  0.501  0.502  0.504
Fe  0.002  0.003  0.504
Fe  0.765  0.500  0.265
Fe  0.501  0.997  0.999
Fe  0.002  0.498  0.999
Al  0.662  0.000  0.662
Al  0.667  0.658  0.009
Al  0.786  0.291  0.495
Al  0.340  0.000  0.340
Al  0.204  0.709  0.495
Al  0.225  0.500  0.725
Al  0.351  0.342  0.009
Tm  0.995  0.000  0.995

Summary:
Space group: Imm2
Crystal system: orthorhombic
Formation energy: -5.19 eV per formula unit
Volume: 14.35 A^3/atom
ρ: 5.7 Mg/m³
Energy: -0.221 Ha/atom

12.
## Tm2Al2Fe15 (PBE-GGA)

Data for a relaxed structure of Tm2Al2Fe15.

Unit cell a=8.322 b=8.322 c=8.374 alpha=90.00 beta=90.00 gamma=120.00
Sites, in units of the cell vectors:
Fe  0.031  0.669  0.250
Fe  0.969  0.331  0.750
Fe  0.500  0.500  0.500
Fe  0.165  0.835  0.512
Fe  0.669  0.031  0.750
Fe  0.669  0.835  0.988
Fe  0.835  0.165  0.488
Fe  0.500  0.000  0.500
Fe  0.331  0.362  0.250
Fe  0.000  0.500  0.500
Fe  0.000  0.500  0.000
Fe  0.165  0.331  0.512
Fe  0.669  0.638  0.750
Fe  0.500  0.500  0.000
Fe  0.969  0.638  0.750
Fe  0.835  0.669  0.012
Fe  0.165  0.331  0.988
Fe  0.638  0.669  0.250
Fe  0.362  0.331  0.750
Fe  0.331  0.165  0.488
Fe  0.331  0.165  0.012
Fe  0.165  0.835  0.988
Fe  0.331  0.969  0.250
Fe  0.835  0.669  0.488
Fe  0.031  0.362  0.250
Fe  0.835  0.165  0.012
Fe  0.638  0.969  0.250
Fe  0.362  0.031  0.750
Fe  0.669  0.835  0.512
Fe  0.500  0.000  0.000
Al  0.667  0.333  0.900
Al  0.667  0.333  0.600
Al  0.333  0.667  0.100
Al  0.333  0.667  0.400
Tm  0.667  0.333  0.250
Tm  0.000  0.000  0.250
Tm  0.333  0.667  0.750
Tm  0.000  0.000  0.750

Summary:
Space group: P6_3/mmc
Crystal system: hexagonal
Formation energy: -1.93 eV per formula unit
Spin magnetization: 57.030 μB/cell
Volume: 13.22 A^3/atom
ρ: 8.1 Mg/m³
Energy: -0.281 Ha/atom